Be2Ag: relaxed, PBE.

- Calculated total energy: -3.41 eV per atom
- Formation energy from the elements: 26 meV/atom

Cell lengths 6.420, 6.420, 6.420 Å; angles 90.00, 90.00, 90.00 degrees
Space group Fd-3m (No. 227, origin choice 2)
One atom of each set of equivalent atoms:
Be1 0.000 0.000 0.000 x16
Ag1 0.125 0.125 0.625 x8